Record 1
Computed, not measured: a relaxed Ta7Te24I10 crystal at the PBE level of DFT.

Values from the calculation:
Magnetic moment ... 0.00 μB per atom
Symmetry ... P-1

Unit cell a=6.906 b=8.177 c=27.579 alpha=96.47 beta=90.62 gamma=101.53
Fractional positions:
Ta 0.250 0.999 0.500
Ta 0.750 0.001 0.500
Ta 0.109 0.437 0.215
Ta 0.891 0.563 0.785
Ta 0.610 0.435 0.215
Ta 0.390 0.565 0.785
Ta 0.000 0.000 0.000
Te 0.454 0.794 0.552
Te 0.546 0.206 0.448
Te 0.440 0.752 0.448
Te 0.560 0.248 0.552
Te 0.993 0.984 0.416
Te 0.007 0.016 0.584
Te 0.066 0.277 0.484
Te 0.934 0.723 0.516
Te 0.367 0.453 0.298
Te 0.633 0.547 0.702
Te 0.294 0.160 0.230
Te 0.706 0.840 0.770
Te 0.425 0.713 0.200
Te 0.575 0.287 0.800
Te 0.354 0.431 0.131
Te 0.646 0.569 0.869
Te 0.905 0.641 0.163
Te 0.186 0.765 0.732
Te 0.814 0.235 0.268
Te 0.202 0.819 0.834
Te 0.798 0.181 0.166
Te 0.081 0.317 0.734
Te 0.919 0.683 0.266
Te 0.095 0.359 0.837
I 0.460 0.852 0.337
I 0.540 0.148 0.663
I 0.899 0.576 0.375
I 0.101 0.424 0.625
I 0.708 0.773 0.037
I 0.292 0.227 0.963
I 0.159 0.736 0.955
I 0.841 0.264 0.045
I 0.762 0.991 0.917
I 0.238 0.009 0.083

Record 2
Computed, not measured: a relaxed TaTe4I crystal at the PBE level of DFT.

Values from the calculation:
Symmetry ... P-1

Unit cell a=6.753 b=8.361 c=9.218 alpha=116.00 beta=101.42 gamma=100.78
Fractional positions:
Ta 0.750 0.000 0.000
Ta 0.250 0.000 0.000
Te 0.122 0.322 0.178
Te 0.023 0.880 0.186
Te 0.386 0.850 0.705
Te 0.614 0.150 0.295
Te 0.878 0.678 0.822
Te 0.540 0.243 0.936
Te 0.460 0.757 0.064
Te 0.977 0.120 0.814
I 0.246 0.403 0.565
I 0.754 0.597 0.435

Record 3
Computed, not measured: a relaxed TbI3 crystal at the PBE level of DFT.

Values from the calculation:
Symmetry ... P6_3/mmc

Unit cell a=11.375 b=11.375 c=4.015 alpha=90.00 beta=90.00 gamma=120.00
Fractional positions:
Tb 0.333 0.667 0.750
Tb 0.667 0.333 0.250
I 0.215 0.430 0.250
I 0.570 0.785 0.250
I 0.215 0.785 0.250
I 0.785 0.570 0.750
I 0.430 0.215 0.750
I 0.785 0.215 0.750

Record 4
Computed, not measured: a relaxed TcI4 crystal at the PBE level of DFT.

Values from the calculation:
Magnetic moment ... 0.00 μB per atom
Symmetry ... P2_1/c

Unit cell a=7.004 b=14.254 c=16.865 alpha=89.69 beta=90.00 gamma=90.00
Fractional positions:
Tc 0.095 0.373 0.828
Tc 0.595 0.127 0.172
Tc 0.905 0.627 0.172
Tc 0.405 0.873 0.828
Tc 0.407 0.626 0.310
Tc 0.907 0.874 0.690
Tc 0.593 0.374 0.690
Tc 0.093 0.126 0.310
I 0.918 0.267 0.706
I 0.418 0.233 0.294
I 0.082 0.733 0.294
I 0.582 0.767 0.706
I 0.768 0.479 0.815
I 0.268 0.021 0.185
I 0.232 0.521 0.185
I 0.732 0.979 0.815
I 0.963 0.255 0.936
I 0.463 0.245 0.064
I 0.037 0.745 0.064
I 0.537 0.755 0.936
I 0.241 0.490 0.934
I 0.741 0.010 0.066
I 0.759 0.510 0.066
I 0.259 0.990 0.934
I 0.582 0.734 0.188
I 0.082 0.766 0.812
I 0.418 0.266 0.812
I 0.918 0.234 0.188
I 0.733 0.520 0.296
I 0.233 0.980 0.704
I 0.267 0.480 0.704
I 0.767 0.020 0.296
I 0.539 0.744 0.417
I 0.039 0.756 0.583
I 0.461 0.256 0.583
I 0.961 0.244 0.417
I 0.273 0.506 0.416
I 0.773 0.994 0.584
I 0.727 0.494 0.584
I 0.227 0.006 0.416

Record 5
Computed, not measured: a relaxed TeI crystal at the PBE level of DFT.

Values from the calculation:
Energy above the lowest structure with this stoichiometry ... 0.000 eV per atom
Symmetry ... C2/m

Unit cell a=8.484 b=8.484 c=12.497 alpha=53.18 beta=53.18 gamma=29.09
Fractional positions:
Te 0.878 0.878 0.824
Te 0.246 0.246 0.837
Te 0.754 0.754 0.163
Te 0.122 0.122 0.176
I 0.477 0.477 0.188
I 0.665 0.665 0.439
I 0.335 0.335 0.561
I 0.523 0.523 0.812

Record 6
Computed, not measured: a relaxed TeI crystal at the PBE level of DFT.

Values from the calculation:
Energy above the lowest structure with this stoichiometry ... 0.017 eV per atom
Symmetry ... P-1

Unit cell a=8.415 b=8.824 c=10.181 alpha=103.28 beta=89.87 gamma=104.02
Fractional positions:
Te 0.190 0.759 0.181
Te 0.810 0.241 0.819
Te 0.488 0.005 0.198
Te 0.512 0.995 0.802
Te 0.314 0.251 0.280
Te 0.686 0.749 0.720
Te 0.013 0.004 0.197
Te 0.987 0.996 0.803
I 0.179 0.707 0.441
I 0.821 0.293 0.559
I 0.319 0.288 0.559
I 0.681 0.712 0.441
I 0.824 0.273 0.187
I 0.176 0.727 0.813
I 0.686 0.730 0.087
I 0.314 0.270 0.913

Which E (MP2020) belongs to each record? In order, -4.6330 -4.6724 -3.9638 -3.5867 -2.6050 -2.5877 eV/atom.
Which calculated volume belongs to each record? In order, 1515 218 225 210 86 89 Å³/f.u..
Which DFT formation energy belongs to each record? In order, -38 -33 -160 -29 -26 -25 kJ per mole of atoms.